Material: Lu2TiO5
Method: DFT, PBE
State: optimized geometry

Values from the calculation:
Distance to the lowest polymorph of the same formula = 0.000 eV per atom
Corrected total energy (MP2020 scheme) = -9.1282 eV per atom
Space-group type = Pnma, No. 62
Crystal system = orthorhombic
Formation enthalpy at 0 K = -3.92 eV per atom

Structure (CIF):
```
data_Lu2TiO5
_chemical_formula_sum 'Lu8 Ti4 O20'
_cell_length_a 3.635
_cell_length_b 10.292
_cell_length_c 11.097
_cell_angle_alpha 90.00
_cell_angle_beta 90.00
_cell_angle_gamma 90.00
_space_group_name_H-M_alt 'P 1'
_space_group_IT_number 1
loop_
_space_group_symop_operation_xyz
'x,y,z'
loop_
_atom_site_label
_atom_site_type_symbol
_atom_site_fract_x
_atom_site_fract_y
_atom_site_fract_z
O1 O 0.250 0.756 0.384
O2 O 0.250 0.993 0.104
O3 O 0.250 0.493 0.396
Lu1 Lu 0.250 0.115 0.276
Lu2 Lu 0.750 0.365 0.443
Lu3 Lu 0.750 0.865 0.057
O4 O 0.250 0.256 0.116
O5 O 0.250 0.760 0.727
O6 O 0.750 0.993 0.341
Ti1 Ti 0.250 0.176 0.620
O7 O 0.750 0.774 0.546
O8 O 0.250 0.726 0.046
O9 O 0.750 0.274 0.954
O10 O 0.750 0.507 0.604
Ti2 Ti 0.750 0.824 0.380
Lu4 Lu 0.250 0.135 0.943
O11 O 0.250 0.507 0.841
O12 O 0.250 0.226 0.454
Lu5 Lu 0.250 0.635 0.557
O13 O 0.750 0.240 0.273
O14 O 0.750 0.493 0.159
Ti3 Ti 0.750 0.324 0.120
O15 O 0.750 0.744 0.884
O16 O 0.250 0.260 0.773
Lu6 Lu 0.250 0.615 0.224
Ti4 Ti 0.250 0.676 0.880
O17 O 0.750 0.740 0.227
O18 O 0.750 0.244 0.616
Lu7 Lu 0.750 0.885 0.724
O19 O 0.750 0.007 0.896
Lu8 Lu 0.750 0.385 0.776
O20 O 0.250 0.007 0.659
```